(1)
Density functional theory data (PBE) for a geometry-optimized CuPdO3 structure.

Energy of formation (eV per atom): -0.09
E (eV per atom): -4.51
Magnetization (μB per formula unit): 0.0

Cell lengths 3.7931, 3.7931, 3.7931 Å; angles 90.00, 90.00, 90.00 degrees
Space group Pm-3m (No. 221)
Symmetry-distinct sites (fractional):
Cu (0.0000, 0.0000, 0.0000)
Pd (0.5000, 0.5000, 0.5000)
O (0.0000, 0.0000, 0.5000)

(2)
Density functional theory data (PBE) for a geometry-optimized Zr4Te3N2 structure.

Energy of formation (eV per atom): -1.10
E (eV per atom): -7.72
Magnetization (μB per formula unit): 0.0

Cell lengths 7.3943, 10.4133, 10.0754 Å; angles 90.00, 90.00, 90.00 degrees
Space group Pnma (No. 62)
Symmetry-distinct sites (fractional):
Zr (0.0387, 0.2500, 0.1755)
Zr (0.0980, 0.0704, 0.8840)
Zr (0.2090, 0.2500, 0.5160)
Te (0.1152, 0.7500, 0.2959)
Te (0.1355, 0.5765, 0.6256)
N (0.0970, 0.6151, 0.9661)

(3)
Density functional theory data (PBE) for a geometry-optimized W7N6 structure.

Energy of formation (eV per atom): -0.35
E (eV per atom): -11.01
Magnetization (μB per formula unit): 0.0

Cell lengths 2.8866, 2.8866, 42.9929 Å; angles 90.00, 90.00, 120.00 degrees
Space group P3m1 (No. 156)
Symmetry-distinct sites (fractional):
W (0.0000, 0.0000, 0.0000)
W (0.0000, 0.0000, 0.0661)
W (0.0000, 0.0000, 0.1334)
W (0.0000, 0.0000, 0.3298)
W (0.0000, 0.0000, 0.3970)
W (0.0000, 0.0000, 0.4649)
W (0.0000, 0.0000, 0.6624)
W (0.0000, 0.0000, 0.7301)
W (0.3333, 0.6667, 0.2107)
W (0.3333, 0.6667, 0.2774)
W (0.3333, 0.6667, 0.5427)
W (0.3333, 0.6667, 0.6090)
W (0.3333, 0.6667, 0.8798)
W (0.3333, 0.6667, 0.9472)
N (0.0000, 0.0000, 0.1814)
N (0.0000, 0.0000, 0.2433)
N (0.0000, 0.0000, 0.5134)
N (0.0000, 0.0000, 0.5758)
N (0.0000, 0.0000, 0.8536)
N (0.0000, 0.0000, 0.9151)
N (0.3333, 0.6667, 0.0333)
N (0.3333, 0.6667, 0.0989)
N (0.3333, 0.6667, 0.3642)
N (0.3333, 0.6667, 0.4303)
N (0.3333, 0.6667, 0.6946)
N (0.3333, 0.6667, 0.7564)

(4)
Density functional theory data (PBE) for a geometry-optimized VNi structure.

Energy of formation (eV per atom): -0.01
E (eV per atom): -7.44
Magnetization (μB per formula unit): 0.0

Cell lengths 2.5520, 2.5520, 12.7463 Å; angles 90.00, 90.00, 120.00 degrees
Space group R-3m (No. 166, hexagonal axes)
Symmetry-distinct sites (fractional):
V (0.0000, 0.0000, 0.0000)
Ni (0.0000, 0.0000, 0.5000)